First-principles (GGA-PBE) data for Rb2MgCl4 after structural relaxation, as listed in the Materials Project.

a = 5.059 Å, b = 5.059 Å, c = 16.385 Å
α = 90.00°, β = 90.00°, γ = 90.00°
Sites, in units of the cell vectors:
Rb (0.000, 0.000, 0.144)
Rb (0.000, 0.000, 0.856)
Rb (0.500, 0.500, 0.356)
Rb (0.500, 0.500, 0.644)
Mg (0.000, 0.000, 0.500)
Mg (0.500, 0.500, 0.000)
Cl (0.000, 0.000, 0.346)
Cl (0.000, 0.000, 0.654)
Cl (0.000, 0.500, 0.000)
Cl (0.000, 0.500, 0.500)
Cl (0.500, 0.000, 0.000)
Cl (0.500, 0.000, 0.500)
Cl (0.500, 0.500, 0.154)
Cl (0.500, 0.500, 0.846)

* uncorrected energy: -3.49 eV/atom
* SG: No. 139
* energy of formation from the pure elements: -15.95 eV/f.u.

First-principles (GGA-PBE) data for NaCd2Pt after structural relaxation, as listed in the Materials Project.

a = 6.780 Å, b = 6.780 Å, c = 6.780 Å
α = 90.00°, β = 90.00°, γ = 90.00°
Sites, in units of the cell vectors:
Na (0.000, 0.000, 0.000)
Na (0.000, 0.500, 0.500)
Na (0.500, 0.000, 0.500)
Na (0.500, 0.500, 0.000)
Cd (0.250, 0.250, 0.250)
Cd (0.250, 0.250, 0.750)
Cd (0.250, 0.750, 0.250)
Cd (0.250, 0.750, 0.750)
Cd (0.750, 0.250, 0.250)
Cd (0.750, 0.250, 0.750)
Cd (0.750, 0.750, 0.250)
Cd (0.750, 0.750, 0.750)
Pt (0.000, 0.000, 0.500)
Pt (0.000, 0.500, 0.000)
Pt (0.500, 0.000, 0.000)
Pt (0.500, 0.500, 0.500)

* uncorrected energy: -2.56 eV/atom
* SG: No. 225
* energy of formation from the pure elements: -1.02 eV/f.u.

First-principles (GGA-PBE) data for AlPO4 after structural relaxation, as listed in the Materials Project.

a = 13.866 Å, b = 13.866 Å, c = 20.197 Å
α = 90.00°, β = 90.00°, γ = 120.00°
Sites, in units of the cell vectors:
Al (0.003, 0.231, 0.076)
Al (0.003, 0.772, 0.424)
Al (0.105, 0.437, 0.327)
Al (0.105, 0.668, 0.173)
Al (0.228, 0.231, 0.424)
Al (0.228, 0.997, 0.076)
Al (0.231, 0.003, 0.576)
Al (0.231, 0.228, 0.924)
Al (0.332, 0.437, 0.173)
Al (0.332, 0.895, 0.327)
Al (0.437, 0.105, 0.827)
Al (0.437, 0.332, 0.673)
Al (0.563, 0.668, 0.327)
Al (0.563, 0.895, 0.173)
Al (0.668, 0.105, 0.673)
Al (0.668, 0.563, 0.827)
Al (0.769, 0.772, 0.076)
Al (0.769, 0.997, 0.424)
Al (0.772, 0.003, 0.924)
Al (0.772, 0.769, 0.576)
Al (0.895, 0.332, 0.827)
Al (0.895, 0.563, 0.673)
Al (0.997, 0.228, 0.576)
Al (0.997, 0.769, 0.924)
P (0.004, 0.231, 0.921)
P (0.004, 0.773, 0.579)
P (0.104, 0.440, 0.170)
P (0.104, 0.665, 0.330)
P (0.227, 0.231, 0.579)
P (0.227, 0.996, 0.921)
P (0.231, 0.004, 0.421)
P (0.231, 0.227, 0.079)
P (0.335, 0.440, 0.330)
P (0.335, 0.896, 0.170)
P (0.440, 0.104, 0.670)
P (0.440, 0.335, 0.830)
P (0.560, 0.665, 0.170)
P (0.560, 0.896, 0.330)
P (0.665, 0.104, 0.830)
P (0.665, 0.560, 0.670)
P (0.769, 0.773, 0.921)
P (0.769, 0.996, 0.579)
P (0.773, 0.004, 0.079)
P (0.773, 0.769, 0.421)
P (0.896, 0.335, 0.670)
P (0.896, 0.560, 0.830)
P (0.996, 0.227, 0.421)
P (0.996, 0.769, 0.079)
O (0.004, 0.267, 0.993)
O (0.004, 0.737, 0.507)
O (0.014, 0.322, 0.375)
O (0.014, 0.691, 0.125)
O (0.024, 0.342, 0.126)
O (0.024, 0.682, 0.374)
O (0.071, 0.406, 0.243)
O (0.071, 0.665, 0.257)
O (0.089, 0.198, 0.411)
O (0.089, 0.891, 0.089)
O (0.093, 0.541, 0.152)
O (0.093, 0.553, 0.348)
O (0.109, 0.198, 0.089)
O (0.109, 0.911, 0.411)
O (0.116, 0.240, 0.903)
O (0.116, 0.876, 0.597)
O (0.124, 0.240, 0.597)
O (0.124, 0.884, 0.903)
O (0.198, 0.089, 0.911)
O (0.198, 0.109, 0.589)
O (0.226, 0.468, 0.159)
O (0.226, 0.757, 0.341)
O (0.240, 0.116, 0.403)
O (0.240, 0.124, 0.097)
O (0.243, 0.468, 0.341)
O (0.243, 0.774, 0.159)
O (0.263, 0.267, 0.507)
O (0.263, 0.996, 0.993)
O (0.267, 0.004, 0.493)
O (0.267, 0.263, 0.007)
O (0.309, 0.322, 0.125)
O (0.309, 0.986, 0.375)
O (0.318, 0.342, 0.374)
O (0.318, 0.976, 0.126)
O (0.322, 0.014, 0.875)
O (0.322, 0.309, 0.625)
O (0.335, 0.406, 0.257)
O (0.335, 0.929, 0.243)
O (0.342, 0.024, 0.626)
O (0.342, 0.318, 0.874)
O (0.406, 0.071, 0.743)
O (0.406, 0.335, 0.757)
O (0.447, 0.541, 0.348)
O (0.447, 0.907, 0.152)
O (0.459, 0.553, 0.152)
O (0.459, 0.907, 0.348)
O (0.468, 0.226, 0.659)
O (0.468, 0.243, 0.841)
O (0.532, 0.757, 0.159)
O (0.532, 0.774, 0.341)
O (0.541, 0.093, 0.652)
O (0.541, 0.447, 0.848)
O (0.553, 0.093, 0.848)
O (0.553, 0.459, 0.652)
O (0.594, 0.665, 0.243)
O (0.594, 0.929, 0.257)
O (0.658, 0.682, 0.126)
O (0.658, 0.976, 0.374)
O (0.665, 0.071, 0.757)
O (0.665, 0.594, 0.743)
O (0.678, 0.691, 0.375)
O (0.678, 0.986, 0.125)
O (0.682, 0.024, 0.874)
O (0.682, 0.658, 0.626)
O (0.691, 0.014, 0.625)
O (0.691, 0.678, 0.875)
O (0.733, 0.737, 0.993)
O (0.733, 0.996, 0.507)
O (0.737, 0.004, 0.007)
O (0.737, 0.733, 0.493)
O (0.757, 0.226, 0.841)
O (0.757, 0.532, 0.659)
O (0.760, 0.876, 0.903)
O (0.760, 0.884, 0.597)
O (0.774, 0.243, 0.659)
O (0.774, 0.532, 0.841)
O (0.802, 0.891, 0.411)
O (0.802, 0.911, 0.089)
O (0.876, 0.116, 0.097)
O (0.876, 0.760, 0.403)
O (0.884, 0.124, 0.403)
O (0.884, 0.760, 0.097)
O (0.891, 0.089, 0.589)
O (0.891, 0.802, 0.911)
O (0.907, 0.447, 0.652)
O (0.907, 0.459, 0.848)
O (0.911, 0.109, 0.911)
O (0.911, 0.802, 0.589)
O (0.929, 0.335, 0.743)
O (0.929, 0.594, 0.757)
O (0.976, 0.318, 0.626)
O (0.976, 0.658, 0.874)
O (0.986, 0.309, 0.875)
O (0.986, 0.678, 0.625)
O (0.996, 0.263, 0.493)
O (0.996, 0.733, 0.007)

* size of the total moment: 0.0 μB per formula unit
* uncorrected energy: -7.48 eV/atom
* SG: No. 163
* energy of formation from the pure elements: -18.65 eV/f.u.

First-principles (GGA-PBE) data for Cs2KTlCl6 after structural relaxation, as listed in the Materials Project.

a = 7.984 Å, b = 7.984 Å, c = 7.984 Å
α = 60.00°, β = 60.00°, γ = 60.00°
Sites, in units of the cell vectors:
Cs (0.250, 0.250, 0.250)
Cs (0.750, 0.750, 0.750)
K (0.000, 0.000, 0.000)
Tl (0.500, 0.500, 0.500)
Cl (0.268, 0.268, 0.732)
Cl (0.268, 0.732, 0.268)
Cl (0.268, 0.732, 0.732)
Cl (0.732, 0.268, 0.268)
Cl (0.732, 0.268, 0.732)
Cl (0.732, 0.732, 0.268)

* size of the total moment: 0.0 μB per formula unit
* uncorrected energy: -3.13 eV/atom
* SG: No. 225
* energy of formation from the pure elements: -18.62 eV/f.u.

First-principles (GGA-PBE) data for Na5Zn2Sn10 after structural relaxation, as listed in the Materials Project.

a = 13.187 Å, b = 10.922 Å, c = 13.212 Å
α = 90.00°, β = 90.00°, γ = 90.00°
Sites, in units of the cell vectors:
Na (0.000, 0.248, 0.250)
Na (0.000, 0.752, 0.750)
Na (0.139, 0.457, 0.099)
Na (0.139, 0.543, 0.599)
Na (0.155, 0.050, 0.393)
Na (0.155, 0.950, 0.893)
Na (0.345, 0.450, 0.893)
Na (0.345, 0.550, 0.393)
Na (0.361, 0.043, 0.599)
Na (0.361, 0.957, 0.099)
Na (0.500, 0.252, 0.750)
Na (0.500, 0.748, 0.250)
Na (0.639, 0.043, 0.901)
Na (0.639, 0.957, 0.401)
Na (0.655, 0.450, 0.607)
Na (0.655, 0.550, 0.107)
Na (0.845, 0.050, 0.107)
Na (0.845, 0.950, 0.607)
Na (0.861, 0.457, 0.401)
Na (0.861, 0.543, 0.901)
Zn (0.163, 0.360, 0.414)
Zn (0.163, 0.640, 0.914)
Zn (0.337, 0.140, 0.914)
Zn (0.337, 0.860, 0.414)
Zn (0.663, 0.140, 0.586)
Zn (0.663, 0.860, 0.086)
Zn (0.837, 0.360, 0.086)
Zn (0.837, 0.640, 0.586)
Sn (0.005, 0.251, 0.522)
Sn (0.005, 0.749, 0.022)
Sn (0.080, 0.070, 0.666)
Sn (0.080, 0.930, 0.166)
Sn (0.085, 0.424, 0.832)
Sn (0.085, 0.576, 0.332)
Sn (0.180, 0.146, 0.072)
Sn (0.180, 0.854, 0.572)
Sn (0.229, 0.239, 0.755)
Sn (0.229, 0.761, 0.255)
Sn (0.271, 0.261, 0.255)
Sn (0.271, 0.739, 0.755)
Sn (0.320, 0.354, 0.572)
Sn (0.320, 0.646, 0.072)
Sn (0.415, 0.076, 0.332)
Sn (0.415, 0.924, 0.832)
Sn (0.420, 0.430, 0.166)
Sn (0.420, 0.570, 0.666)
Sn (0.495, 0.249, 0.022)
Sn (0.495, 0.751, 0.522)
Sn (0.505, 0.249, 0.478)
Sn (0.505, 0.751, 0.978)
Sn (0.580, 0.430, 0.334)
Sn (0.580, 0.570, 0.834)
Sn (0.585, 0.076, 0.168)
Sn (0.585, 0.924, 0.668)
Sn (0.680, 0.354, 0.928)
Sn (0.680, 0.646, 0.428)
Sn (0.729, 0.261, 0.245)
Sn (0.729, 0.739, 0.745)
Sn (0.771, 0.239, 0.745)
Sn (0.771, 0.761, 0.245)
Sn (0.820, 0.146, 0.428)
Sn (0.820, 0.854, 0.928)
Sn (0.915, 0.424, 0.668)
Sn (0.915, 0.576, 0.168)
Sn (0.920, 0.070, 0.834)
Sn (0.920, 0.930, 0.334)
Sn (0.995, 0.251, 0.978)
Sn (0.995, 0.749, 0.478)

* size of the total moment: 0.0 μB per formula unit
* uncorrected energy: -3.02 eV/atom
* SG: No. 60
* energy of formation from the pure elements: -2.09 eV/f.u.

First-principles (GGA-PBE) data for NiP2W after structural relaxation, as listed in the Materials Project.

a = 3.348 Å, b = 3.348 Å, c = 11.252 Å
α = 90.00°, β = 90.00°, γ = 120.00°
Sites, in units of the cell vectors:
Ni (0.000, 0.000, 0.000)
Ni (0.000, 0.000, 0.500)
P (0.333, 0.667, 0.113)
P (0.333, 0.667, 0.387)
P (0.667, 0.333, 0.613)
P (0.667, 0.333, 0.887)
W (0.000, 0.000, 0.250)
W (0.000, 0.000, 0.750)

* uncorrected energy: -7.86 eV/atom
* SG: No. 194
* energy of formation from the pure elements: -1.87 eV/f.u.